# 1
This record from the Materials Project database describes a relaxed Ba2Cu5F14 crystal. The functional is PBE-GGA.

Calculated values
The calculated formation energy is -240.84 kJ/mol of atoms. The total DFT energy (no corrections) is -4.62 eV/atom.

Lattice parameters (Å, degrees): 18.4820 6.7143 10.4920 90.00 116.50 90.00
Closest atoms and distances in Å follow each position.
Space group C2/c (No. 15)
One atom of each set of equivalent atoms:
1 Ba 0.1627 0.1172 0.1299 x8  8 F 2.68-2.84
2 Cu 0.0000 0.1457 0.2500 x4  6 F 1.92-2.13
3 Cu 0.0349 0.3583 0.6403 x8  4 F 1.93-1.95
4 Cu 0.1754 0.3803 0.4925 x8  4 F 1.90-1.94
5 F 0.0337 0.0706 0.6445 x8  2 Cu 1.93-2.08
6 F 0.0353 0.3510 0.1329 x8  2 Cu 1.95-2.13
7 F 0.0767 0.3643 0.8889 x8  1 Cu 1.95
8 F 0.1096 0.1509 0.3971 x8  2 Cu 1.92-1.94
9 F 0.1395 0.3434 0.6391 x8  2 Cu 1.94
10 F 0.2224 0.3665 0.3628 x8  1 Cu 1.92
11 F 0.2504 0.0790 0.8948 x8  1 Cu 1.90



# 2
This record from the Materials Project database describes a relaxed BaMgCuF7 crystal. The functional is PBE-GGA.

Calculated values
The calculated formation energy is -299.01 kJ/mol of atoms. The total DFT energy (no corrections) is -4.88 eV/atom.

Lattice parameters (Å, degrees): 5.6126 9.9428 9.7070 90.00 93.20 90.00
Closest atoms and distances in Å follow each position.
Space group P2_1/c (No. 14)
One atom of each set of equivalent atoms:
1 Ba 0.2370 0.1804 0.0001 x4  5 F 2.64-2.94
2 Mg 0.1968 0.6037 0.8092 x4  6 F 1.91-2.13
3 Cu 0.3064 0.6133 0.1865 x4  6 F 1.89-1.96
4 F 0.0307 0.7112 0.2494 x4  1 Cu 1.95, 1 Mg 2.13
5 F 0.1159 0.5424 0.6265 x4  1 Mg 1.91
6 F 0.1342 0.0476 0.6313 x4  1 Cu 1.93, 1 Mg 2.05
7 F 0.2402 0.6901 0.0032 x4  1 Cu 1.95, 1 Mg 2.07
8 F 0.3871 0.5437 0.3643 x4  1 Cu 1.89
9 F 0.3916 0.0542 0.3749 x4  1 Cu 1.92, 1 Mg 2.00
10 F 0.4737 0.7226 0.7475 x4  1 Cu 1.96, 1 Mg 2.07



# 3
This record from the Materials Project database describes a relaxed Ba2MgTi2CuF14 crystal. The functional is PBE-GGA.

Calculated values
The calculated formation energy is -346.14 kJ/mol of atoms. The total DFT energy (no corrections) is -5.87 eV/atom.

Lattice parameters (Å, degrees): 14.3023 5.3218 14.9495 90.00 93.21 90.00
Closest atoms and distances in Å follow each position.
Space group C2/c (No. 15)
One atom of each set of equivalent atoms:
1 Ba 0.1796 0.0925 0.1254 x8  10 F 2.66-2.95
2 Mg 0.0000 0.4500 0.7500 x4  6 F 2.00-2.24
3 Ti 0.1225 0.0203 0.3745 x8  6 F 1.88-1.98
4 Cu 0.0000 0.5000 0.0000 x4  4 F 2.08-2.10
5 F 0.0007 0.1052 0.8362 x8  1 Ti 1.92
6 F 0.0462 0.4381 0.1323 x8  1 Mg 2.00, 1 Cu 2.08
7 F 0.0834 0.1808 0.4826 x8  1 Ti 1.94, 1 Cu 2.10
8 F 0.1135 0.3086 0.2924 x8  1 Ti 1.96, 1 Mg 2.14
9 F 0.1487 0.2736 0.9536 x8  1 Ti 1.98
10 F 0.1668 0.1892 0.7755 x8  1 Ti 1.98
11 F 0.2494 0.1068 0.3969 x8  1 Ti 1.88



# 4
This record from the Materials Project database describes a relaxed BaNa4Cu3F12 crystal. The functional is PBE-GGA.

Calculated values
The calculated formation energy is -254.49 kJ/mol of atoms. The total DFT energy (no corrections) is -4.48 eV/atom.

Lattice parameters (Å, degrees): 16.2559 16.2559 16.2559 90.00 90.00 90.00
Closest atoms and distances in Å follow each position.
Space group Ia-3 (No. 206)
One atom of each set of equivalent atoms:
1 Ba 0.0000 0.0000 0.0000 x8  12 F 2.79-2.87
2 Ba 0.2500 0.2500 0.2500 x8  12 F 2.79-2.90
3 Na 0.0000 0.2500 0.0245 x24  4 F 2.32-2.39
4 Na 0.0000 0.2500 0.2545 x24  4 F 2.28-2.34
5 Na 0.1259 0.1259 0.1259 x16  6 F 2.27
6 Cu 0.1237 0.1251 0.8752 x48  4 F 1.94-1.97
7 F 0.0094 0.0949 0.6428 x48  1 Cu 1.95
8 F 0.0103 0.0941 0.8511 x48  1 Cu 1.95
9 F 0.1008 0.2395 0.6526 x48  1 Cu 1.97
10 F 0.1071 0.2385 0.3447 x48  1 Cu 1.94



# 5
This record from the Materials Project database describes a relaxed BaCuSF crystal. The functional is PBE-GGA.

Calculated values
The calculated formation energy is -218.16 kJ/mol of atoms. The total DFT energy (no corrections) is -5.04 eV/atom.

Lattice parameters (Å, degrees): 4.1299 4.1299 9.1065 90.00 90.00 90.00
Closest atoms and distances in Å follow each position.
Space group P4/nmm (No. 129, origin choice 2)
One atom of each set of equivalent atoms:
1 Ba 0.2500 0.2500 0.1801 x2  4 F 2.64
2 Cu 0.2500 0.7500 0.5000 x2  4 S 2.44
3 S 0.2500 0.2500 0.6435 x2  4 Cu 2.44
4 F 0.2500 0.7500 0.0000 x2  4 Ba 2.64, 4 F 2.92



# 6
This record from the Materials Project database describes a relaxed Ba2ZnCuSb2F14 crystal. The functional is PBE-GGA.

Calculated values
The calculated formation energy is -286.77 kJ/mol of atoms. The total DFT energy (no corrections) is -4.86 eV/atom.

Lattice parameters (Å, degrees): 14.4534 5.3532 16.2721 90.00 90.14 90.00
Closest atoms and distances in Å follow each position.
Space group C2/c (No. 15)
One atom of each set of equivalent atoms:
1 Ba 0.1768 0.0866 0.1283 x8  8 F 2.65-2.94
2 Zn 0.0000 0.4498 0.7500 x4  4 F 1.98-2.02
3 Cu 0.0000 0.5000 0.0000 x4  4 F 1.94
4 Sb 0.1124 0.0416 0.3781 x8  4 F 2.08-2.29
5 F 0.0154 0.1635 0.6700 x8  1 Zn 2.02
6 F 0.0303 0.3770 0.1093 x8  1 Cu 1.94
7 F 0.0799 0.2111 0.5104 x8  1 Cu 1.94
8 F 0.1103 0.3363 0.2653 x8  1 Zn 1.98
9 F 0.1501 0.2627 0.9518 x8  1 Sb 2.09
10 F 0.1770 0.1616 0.7856 x8  1 Sb 2.08
11 F 0.2470 0.3706 0.6035 x8  1 Sb 2.11



# 7
This record from the Materials Project database describes a relaxed Ba2CuSe2F crystal. The functional is PBE-GGA.

Calculated values
The calculated formation energy is -81.04 kJ/mol of atoms. The total DFT energy (no corrections) is -3.57 eV/atom.

Lattice parameters (Å, degrees): 4.6382 4.6382 15.2493 90.00 90.00 90.00
Closest atoms and distances in Å follow each position.
Space group P4/mmm (No. 123)
One atom of each set of equivalent atoms:
1 Ba 0.0000 0.0000 0.1640 x2  1 F 2.50
2 Cu 0.0000 0.0000 0.5000 x1  2 Se 2.20
3 Se 0.0000 0.0000 0.3554 x2  1 Cu 2.20
4 F 0.0000 0.0000 0.0000 x1  2 Ba 2.50



# 8
This record from the Materials Project database describes a relaxed Ba2CuSn2F14 crystal. The functional is PBE-GGA.

Calculated values
The calculated formation energy is -298.79 kJ/mol of atoms. The total DFT energy (no corrections) is -5.01 eV/atom.

Lattice parameters (Å, degrees): 14.6292 5.4522 15.6861 90.00 92.41 90.00
Closest atoms and distances in Å follow each position.
Space group C2/c (No. 15)
One atom of each set of equivalent atoms:
1 Ba 0.1773 0.0777 0.1278 x8  5 F 2.59-2.82
2 Cu 0.0000 0.5000 0.0000 x4  4 F 1.84-2.05
3 Sn 0.1200 0.0233 0.3721 x8  6 F 1.96-2.06
4 F 0.0082 0.0642 0.6535 x8  1 Sn 1.96
5 F 0.0603 0.4294 0.1020 x8  1 Cu 1.84
6 F 0.0858 0.2090 0.4804 x8  1 Cu 2.05, 1 Sn 2.06
7 F 0.1250 0.2904 0.2881 x8  1 Sn 1.97
8 F 0.1405 0.2558 0.9541 x8  1 Sn 2.01
9 F 0.1762 0.1896 0.7816 x8  1 Sn 2.03
10 F 0.2501 0.1158 0.4122 x8  1 Sn 2.04



# 9
This record from the Materials Project database describes a relaxed BaCuTeF crystal. The functional is PBE-GGA.

Calculated values
The calculated formation energy is -195.41 kJ/mol of atoms. The total DFT energy (no corrections) is -4.68 eV/atom.

Lattice parameters (Å, degrees): 4.4488 4.4488 9.5266 90.00 90.00 90.00
Closest atoms and distances in Å follow each position.
Space group P4/nmm (No. 129, origin choice 2)
One atom of each set of equivalent atoms:
1 Ba 0.2500 0.2500 0.1588 x2  4 F 2.69
2 Cu 0.2500 0.7500 0.5000 x2  4 Te 2.69
3 Te 0.2500 0.2500 0.6591 x2  4 Cu 2.69
4 F 0.2500 0.7500 0.0000 x2  4 Ba 2.69